[1]
42
Lattice="-3.4880 -4.7646 -2.5591 4.5876 -5.2721 3.5630 -1.5790 -4.6501 10.8098" Properties=species:S:1:pos:R:3 comment="Li3V2H4O2F10 | the Materials Project database | GGA+U | optimized geometry" total_magnetization_mub_per_fu=3.00 space_group="No. 7" e_tot_ev_per_cell=-222.510 pbc="T T T"
Li -0.4733 -10.8573 9.0923
Li -2.7126 -8.2996 7.2794
Li 1.4296 -8.7905 9.9280
Li -0.2944 -3.7499 3.0694
Li 0.6665 -8.5864 3.3839
Li 1.9004 -6.3682 4.8497
V 3.3532 -4.0346 2.6413
V -0.5335 -3.6139 -0.3165
V -0.7949 -10.9475 5.5820
V -1.4609 -6.1273 4.9873
H -0.1171 -6.7613 11.5645
H 1.1742 -11.1577 12.4759
H -3.5146 -7.5059 3.8000
H -2.3055 -8.5040 3.9748
H 0.0352 -8.6119 6.4558
H 1.3626 -9.6537 6.6300
H 0.2375 -1.1340 0.5687
H 1.4446 -5.4400 1.5057
O -1.0324 -6.7029 11.2138
O 0.8282 -10.2036 12.5552
O -2.5787 -7.5685 4.0952
O 0.4200 -9.5146 6.2716
F -3.0375 -9.6904 9.6630
F 1.5322 -7.6544 11.8492
F 0.7126 -7.3792 0.8773
F -4.6897 -8.7591 6.6590
F -2.1261 -10.0793 6.5006
F -2.6518 -7.2117 8.8708
F -0.5344 -12.0161 7.1775
F -0.4565 -8.9834 9.6138
F -0.3398 -4.7587 5.6581
F 1.4598 -10.6925 9.4101
F -1.0311 -9.9093 3.9844
F -1.1928 -7.4435 6.4282
F -0.4738 -1.7537 3.7679
F 1.5603 -7.4678 7.4834
F 1.7115 -3.5908 3.3320
F -1.8284 -4.8404 3.4908
F 3.6306 -5.0803 4.2491
F 0.1786 -6.8691 4.0957
F 2.4286 -8.1226 4.1367
F 0.0122 -4.5508 1.3282

=====

[2]
23
Lattice="7.9128 -2.5028 -4.1349 0.0557 5.2605 0.0391 3.9224 2.5852 4.0413" Properties=species:S:1:pos:R:3 comment="Li3Mn4B4O12 | the Materials Project database | GGA+U | optimized geometry" total_magnetization_mub_per_fu=19.00 space_group="No. 1" de_polymorph_ev_per_atom=0.005 e_tot_ev_per_cell=-170.308 pbc="T T T"
Li 3.0372 4.4110 1.8180
Li 5.1928 1.8498 -2.2860
Li 6.7115 3.4664 2.1848
Mn 1.7243 3.5927 -0.5780
Mn 4.1704 1.7241 0.6218
Mn 7.7968 3.6464 -0.7711
Mn 10.0544 1.6924 0.5468
B 1.0854 0.9068 0.6530
B 4.8023 4.4118 -0.7718
B 7.1670 0.9601 0.8178
B 10.7458 4.4202 -0.7955
O 1.3137 4.8505 0.9843
O 1.9666 1.5855 -0.1867
O 3.6814 6.1668 2.5300
O 3.9866 3.7547 0.1402
O 4.6563 0.5081 -1.0131
O 5.7039 3.6508 -1.5540
O 6.1890 1.6789 1.5041
O 7.2920 4.8512 0.9155
O 8.1168 1.7162 0.1030
O 7.9657 -0.8817 -2.8115
O 9.8891 3.7499 0.0760
O 10.6746 0.5289 -0.9564

=====

[3]
32
Lattice="-4.0580 3.4942 2.7822 -9.2963 -3.6097 -2.8020 -1.3133 -0.9302 5.8182" Properties=species:S:1:pos:R:3 comment="Li2TiFeO4 | the Materials Project database | GGA+U | optimized geometry" total_magnetization_mub_per_fu=4.00 space_group="No. 1" de_polymorph_ev_per_atom=0.011 e_tot_ev_per_cell=-221.779 pbc="T T T"
Li -3.3239 -1.5555 3.6591
Li -7.3226 -2.8980 -0.6474
Li -4.6797 0.6380 2.1535
Li -9.9982 -1.6449 3.6650
Li -7.9879 -0.9353 5.8379
Li -11.9786 -2.2759 1.5271
Li -5.3656 0.1908 5.0947
Li -9.3444 -1.1481 0.7844
Ti -5.3119 -2.2472 1.5047
Ti -10.6164 -4.5174 3.0131
Ti -2.6581 -1.1067 0.7439
Ti -7.9598 -3.3876 2.2656
Fe -9.9647 -4.0497 0.1082
Fe -12.6478 -2.7707 4.4117
Fe -5.9729 -2.7097 4.4189
Fe -7.3417 -0.5009 2.9041
O -6.7504 1.2479 1.9139
O -12.0669 -1.0281 3.4223
O -5.3751 1.4760 6.9819
O -9.3617 0.1284 2.6782
O -5.3261 -1.1369 3.1108
O -9.3136 -2.4850 -1.1931
O -2.6218 0.0205 2.3696
O -7.9385 -2.2553 3.8779
O -3.2831 -0.4978 5.4821
O -7.2692 -1.8415 1.1756
O -4.7839 1.9279 3.8186
O -10.0870 -0.3451 5.3324
O -4.6024 -0.6549 0.4654
O -9.9057 -2.9277 1.9788
O -7.4181 0.8381 4.6249
O -11.4042 -0.5051 0.3180

=====

| no. | formation energy from the elements (eV per atom) |
| --- | --- |
| 1 | -2.578 |
| 2 | -2.468 |
| 3 | -2.559 |